Density functional theory data (PBE-GGA) for a relaxed Si2H2O5 crystal.

Calculated values
Raw total energy: -6.886 eV/atom
Energy above the most stable polymorph in this dataset: 0.010 eV per atom
Theoretical density: 1.87 g/cm3
Volume: 13.66 Å³ per atom
Magnetic moment: 0.0 μB/f.u.
Total energy after the MP2020 corrections: -130.82 eV per cell

Lattice parameters (Å, degrees): 8.9706 8.9706 5.2222 76.16 76.16 37.20
Element x y z (fractional)
Si 0.4974 0.8185 0.5256
Si 0.4965 0.1900 0.3724
Si 0.1900 0.4965 0.8724
Si 0.8185 0.4974 0.0256
H 0.1155 0.0576 0.7278
H 0.8657 0.9809 0.1764
H 0.9809 0.8657 0.6764
H 0.0576 0.1155 0.2278
O 0.4754 0.0210 0.4725
O 0.0210 0.4754 0.9725
O 0.6257 0.6631 0.2728
O 0.3957 0.3289 0.0818
O 0.3289 0.3957 0.5818
O 0.6631 0.6257 0.7728
O 0.2184 0.9627 0.5708
O 0.7829 0.0237 0.3566
O 0.0237 0.7829 0.8566
O 0.9627 0.2184 0.0708